(1)
# Y6Ge2O13F3 PBE relaxed
# V (Å³ per cell): 326.9
# Total energy (eV per cell): -186.8
# ΔE_f (kJ/mol of formula units): -7621.0
data_Y6Ge2O13F3
_cell_length_a 5.451
_cell_length_b 6.017
_cell_length_c 10.356
_cell_angle_alpha 89.05
_cell_angle_beta 89.55
_cell_angle_gamma 74.30
_symmetry_space_group_name_H-M 'P 1'
_symmetry_Int_Tables_number 1
loop_
_symmetry_equiv_pos_as_xyz
'x,y,z'
loop_
_atom_site_label
_atom_site_type_symbol
_atom_site_fract_x
_atom_site_fract_y
_atom_site_fract_z
_atom_site_occupancy
Y1 Y 0.000 0.000 0.000 1
Y2 Y 0.004 0.992 0.408 1
Y3 Y 0.102 0.480 0.208 1
Y4 Y 0.532 0.098 0.708 1
Y5 Y 0.627 0.590 0.505 1
Y6 Y 0.631 0.595 0.916 1
Ge1 Ge 0.124 0.772 0.704 1
Ge2 Ge 0.512 0.808 0.208 1
O1 O 0.298 0.475 0.690 1
O2 O 0.304 0.901 0.580 1
O3 O 0.307 0.893 0.830 1
O4 O 0.328 0.683 0.334 1
O5 O 0.330 0.686 0.085 1
O6 O 0.349 0.109 0.206 1
O7 O 0.615 0.229 0.913 1
O8 O 0.723 0.405 0.717 1
O9 O 0.774 0.749 0.329 1
O10 O 0.778 0.754 0.088 1
O11 O 0.857 0.827 0.585 1
O12 O 0.867 0.820 0.826 1
O13 O 0.923 0.165 0.205 1
F1 F 0.031 0.357 0.434 1
F2 F 0.043 0.364 0.982 1
F3 F 0.610 0.225 0.480 1

(2)
# HfCrCuSe4 PBE relaxed
# V (Å³ per cell): 616.7
# Total energy (eV per cell): -172.9
# ΔE_f (kJ/mol of formula units): -716.8
data_HfCrCuSe4
_cell_length_a 7.530
_cell_length_b 7.648
_cell_length_c 10.710
_cell_angle_alpha 90.00
_cell_angle_beta 90.00
_cell_angle_gamma 90.00
_symmetry_space_group_name_H-M 'I m m a'
_symmetry_Int_Tables_number 74
_symmetry_space_group_name_Hall '-I 2b 2'
loop_
_atom_site_label
_atom_site_type_symbol
_atom_site_fract_x
_atom_site_fract_y
_atom_site_fract_z
_atom_site_occupancy
Hf1 Hf 0.250 0.250 0.250 1
Cr1 Cr 0.000 0.000 0.000 1
Cu1 Cu 0.000 0.250 0.623 1
Se1 Se 0.000 0.002 0.241 1
Se2 Se 0.231 0.250 0.000 1

(3)
# K2UO4 PBE relaxed
# V (Å³ per cell): 255.9
# Total energy (eV per cell): -104.0
# ΔE_f (kJ/mol of formula units): -2070.7
data_K2UO4
_cell_length_a 4.363
_cell_length_b 4.363
_cell_length_c 13.442
_cell_angle_alpha 90.00
_cell_angle_beta 90.00
_cell_angle_gamma 90.00
_symmetry_space_group_name_H-M 'I 4/m m m'
_symmetry_Int_Tables_number 139
_symmetry_space_group_name_Hall '-I 4 2'
loop_
_atom_site_label
_atom_site_type_symbol
_atom_site_fract_x
_atom_site_fract_y
_atom_site_fract_z
_atom_site_occupancy
K1 K 0.000 0.000 0.152 1
U1 U 0.000 0.000 0.500 1
O1 O 0.000 0.000 0.355 1
O2 O 0.000 0.500 0.000 1

(4)
# Sr2ZnP2F PBE relaxed
# V (Å³ per cell): 189.8
# Total energy (eV per cell): -19.5
# ΔE_f (kJ/mol of formula units): -247.5
data_Sr2ZnP2F
_cell_length_a 3.578
_cell_length_b 3.578
_cell_length_c 14.827
_cell_angle_alpha 90.00
_cell_angle_beta 90.00
_cell_angle_gamma 90.00
_symmetry_space_group_name_H-M 'P 4/m m m'
_symmetry_Int_Tables_number 123
_symmetry_space_group_name_Hall '-P 4 2'
loop_
_atom_site_label
_atom_site_type_symbol
_atom_site_fract_x
_atom_site_fract_y
_atom_site_fract_z
_atom_site_occupancy
Sr1 Sr 0.000 0.000 0.154 1
Zn1 Zn 0.000 0.000 0.500 1
P1 P 0.000 0.000 0.351 1
F1 F 0.000 0.000 0.000 1